[1]
Ce2W3O12: optimized geometry, PBE with a Hubbard U.

Results
- Volume: 15.37 Å³ per atom
- Crystal system: monoclinic
- M_tot: 0.118 μB per atom
- Formation enthalpy at 0 K: -2.6940 eV per atom
- DFT total energy: -7.90 eV per atom
- SG: No. 15

Cell and atoms, written as extended XYZ:
```
34
Lattice="5.9176 3.9954 0.0000 -5.9176 3.9954 0.0000 0.0000 3.9720 11.0483" Properties=species:S:1:pos:R:3 pbc="T T T"
Ce 1.4519 2.9294 4.4760
Ce 1.4519 7.0473 1.0482
Ce -1.4519 9.0333 6.5723
Ce -1.4519 4.9155 10.0001
W -4.3274 6.9744 8.2862
W 4.3274 4.9884 2.7621
W 1.2242 3.0308 0.5135
W 1.2242 6.9460 5.0107
W -1.2242 8.9320 10.5348
W -1.2242 5.0168 6.0376
O -0.4468 6.7897 6.3082
O -0.4468 7.1591 10.2643
O 0.4468 5.1731 4.7401
O 0.4468 4.8037 0.7840
O 2.5359 7.2946 10.3894
O 2.5359 6.6542 6.1831
O -2.5359 4.6682 0.6589
O -2.5359 5.3086 4.8652
O -2.0344 5.0217 7.6853
O -2.0344 8.9271 8.8872
O 3.4343 4.5249 4.3156
O 3.4343 5.4519 1.2086
O -3.4343 7.4379 6.7327
O -3.4343 6.5109 9.8397
O -0.5366 2.4076 3.1060
O -0.5366 7.5691 2.4182
O 0.5366 9.5551 7.9423
O 0.5366 4.3936 8.6301
O 0.6165 8.7290 5.0863
O 0.6165 1.2477 0.4378
O -0.6165 3.2337 5.9620
O -0.6165 10.7151 10.6105
O 2.0344 3.0357 2.1611
O 2.0344 6.9411 3.3631
```

=====

[2]
Mg14VBiO16: optimized geometry, PBE with a Hubbard U.

Results
- Volume: 10.59 Å³ per atom
- Crystal system: tetragonal
- M_tot: 0.109 μB per atom
- Formation enthalpy at 0 K: -2.7163 eV per atom
- DFT total energy: -5.90 eV per atom
- SG: No. 123

Cell and atoms, written as extended XYZ:
```
32
Lattice="8.7240 0.0000 0.0000 0.0000 8.7240 0.0000 0.0000 0.0000 4.4507" Properties=species:S:1:pos:R:3 pbc="T T T"
Mg 0.0000 4.3620 0.0000
Mg 4.3620 0.0000 0.0000
Mg 0.0000 2.1679 2.2254
Mg 0.0000 6.5561 2.2254
Mg 4.3620 2.0701 2.2254
Mg 4.3620 6.6539 2.2254
Mg 2.1679 0.0000 2.2254
Mg 2.0701 4.3620 2.2254
Mg 6.5561 0.0000 2.2254
Mg 6.6539 4.3620 2.2254
Mg 2.1169 2.1169 0.0000
Mg 2.1169 6.6071 0.0000
Mg 6.6071 2.1169 0.0000
Mg 6.6071 6.6071 0.0000
V 0.0000 0.0000 0.0000
Bi 4.3620 4.3620 0.0000
O 2.1935 0.0000 0.0000
O 1.9985 4.3620 0.0000
O 6.5304 0.0000 0.0000
O 6.7255 4.3620 0.0000
O 2.1833 2.1833 2.2254
O 2.1833 6.5407 2.2254
O 6.5407 2.1833 2.2254
O 6.5407 6.5407 2.2254
O 0.0000 0.0000 2.2254
O 0.0000 4.3620 2.2254
O 4.3620 0.0000 2.2254
O 4.3620 4.3620 2.2254
O 0.0000 2.1935 0.0000
O 0.0000 6.5304 0.0000
O 4.3620 1.9985 0.0000
O 4.3620 6.7255 0.0000
```

=====

[3]
Li9Mn2Co5O16: optimized geometry, PBE with a Hubbard U.

Results
- Volume: 9.00 Å³ per atom
- Crystal system: triclinic
- M_tot: 0.437 μB per atom
- Formation enthalpy at 0 K: -1.7879 eV per atom
- DFT total energy: -5.78 eV per atom
- SG: No. 1

Cell and atoms, written as extended XYZ:
```
32
Lattice="-0.4473 -2.8888 0.4614 4.1441 -0.9113 -2.7500 9.8876 2.0047 16.4761" Properties=species:S:1:pos:R:3 pbc="T T T"
Li 4.0406 -0.5555 0.2003
Li 5.8281 -1.7540 5.0168
Li 7.8150 -0.0136 9.1659
Li 9.5333 -1.2315 13.9573
Li 1.7907 -1.5379 1.8161
Li 3.9470 0.1179 6.1953
Li 9.6036 -1.9546 8.0607
Li 11.7707 -0.2541 12.3386
Li 7.9466 -0.4030 6.2953
Mn 14.0237 1.0918 13.7151
Mn 5.8369 -2.1057 2.0227
Co 9.5953 -1.5903 11.0163
Co 11.7272 0.1055 15.3221
Co 3.9920 -0.2033 3.1678
Co 5.6574 -1.3891 7.9070
Co 7.7469 0.3098 12.1624
O 3.7531 -2.2521 -1.0914
O 6.0316 -0.5417 3.1904
O 7.4311 -1.6420 8.0021
O 9.6960 -0.0836 12.2139
O 1.9331 -0.3673 0.0402
O 3.6320 -1.4810 4.7871
O 5.8301 0.2623 8.9557
O 11.5244 -1.8408 11.0405
O 3.8882 -1.8141 1.9811
O 5.9258 -0.1542 6.3903
O 7.6755 -1.3474 11.0397
O 9.8112 0.4571 15.2467
O 1.9426 0.1332 3.1477
O 8.0227 -2.0491 5.0635
O 9.9443 -0.2132 9.3582
O 11.6376 -1.4313 14.1437
```

=====

[4]
Cr2P4Pb3O16: optimized geometry, PBE with a Hubbard U.

Results
- Volume: 13.90 Å³ per atom
- Crystal system: tetragonal
- Formation enthalpy at 0 K: -2.4852 eV per atom
- DFT total energy: -7.14 eV per atom
- SG: No. 92

Cell and atoms, written as extended XYZ:
```
100
Lattice="9.1105 0.0000 0.0000 0.0000 9.1105 0.0000 0.0000 0.0000 16.7510" Properties=species:S:1:pos:R:3 pbc="T T T"
Cr 2.4162 4.5608 14.7243
Cr 9.1049 6.9714 2.1611
Cr 6.6943 4.5497 6.3488
Cr 4.5497 6.6943 10.4021
Cr 4.5608 2.4162 2.0267
Cr 0.0056 2.1391 10.5366
Cr 2.1391 0.0056 6.2144
Cr 6.9714 9.1049 14.5899
P 2.4942 4.1423 11.3838
P 0.0477 6.6023 5.5067
P 7.0495 0.4129 1.1794
P 4.1423 2.4942 5.3672
P 2.0470 4.5075 1.3190
P 6.6163 4.9682 3.0083
P 4.5075 2.0470 15.4320
P 6.6023 0.0477 11.2443
P 2.0610 8.6976 9.5549
P 4.6030 7.0634 7.0565
P 0.4129 7.0495 15.5715
P 4.9682 6.6163 13.7427
P 2.5082 9.0627 2.8688
P 8.6976 2.0610 7.1961
P 9.0627 2.5082 13.8822
P 7.0634 4.6030 9.6945
Pb 5.9750 8.4013 3.9487
Pb 1.2193 1.2193 0.0000
Pb 0.7092 3.1355 4.4267
Pb 7.6908 3.8460 0.2390
Pb 3.3360 5.7745 4.1877
Pb 3.8460 7.6908 16.5120
Pb 8.4013 5.9750 12.8022
Pb 3.1355 0.7092 12.3242
Pb 7.8912 7.8912 8.3755
Pb 5.2645 1.4197 8.1365
Pb 1.4197 5.2645 8.6145
Pb 5.7745 3.3360 12.5632
O 8.0182 1.6070 1.1008
O 3.7599 1.2131 6.1804
O 5.7684 0.7954 1.9927
O 1.5800 5.7007 2.2248
O 3.5069 0.8821 15.6234
O 3.4629 2.9483 11.4624
O 3.8143 6.0445 14.6319
O 1.0923 7.5035 9.4763
O 6.5083 4.1324 8.3340
O 6.1622 5.6476 13.6641
O 1.3624 8.4410 2.0095
O 7.5305 3.4097 10.6003
O 1.4892 0.7409 10.4441
O 4.9781 2.6022 0.0415
O 6.1352 7.9650 10.3384
O 7.5035 1.0923 7.2747
O 5.6036 8.2284 7.2479
O 3.1929 3.8858 2.1783
O 5.2247 5.9176 6.1972
O 1.6070 8.0182 15.6501
O 0.4229 1.9531 12.5217
O 0.7954 5.7684 14.7583
O 8.2284 5.6036 9.5031
O 0.6695 7.7481 6.3660
O 8.6876 7.1574 4.1462
O 7.1574 8.6876 12.6047
O 5.3506 7.8974 14.5559
O 3.6732 8.0622 3.0601
O 8.9835 6.6552 0.2012
O 2.6022 4.9781 16.7095
O 0.7409 1.4892 6.3068
O 5.2962 3.0660 6.2564
O 8.0622 3.6732 13.6909
O 7.8974 5.3506 2.1950
O 6.0445 3.8143 2.1191
O 3.3421 8.3151 10.3682
O 3.0660 5.2962 10.4946
O 1.1455 2.9753 14.7881
O 5.6476 6.1622 3.0869
O 2.9483 3.4629 5.2886
O 4.4283 7.0105 12.3621
O 3.8858 3.1929 14.5727
O 7.9650 6.1352 6.4126
O 5.7007 1.5800 14.5262
O 7.0105 4.4283 4.3889
O 4.1324 6.5083 8.4170
O 6.6552 8.9835 16.5498
O 8.4410 1.3624 14.7415
O 2.9753 1.1455 1.9629
O 8.3696 7.6212 14.6823
O 7.7481 0.6695 10.3850
O 5.9176 5.2247 10.5538
O 5.4373 1.0483 11.4356
O 1.0483 5.4373 5.3154
O 2.1000 4.6822 12.7644
O 1.2131 3.7599 10.5705
O 7.6212 8.3696 2.0686
O 8.3151 3.3421 6.3828
O 1.9531 0.4229 4.2293
O 4.6822 2.1000 3.9866
O 2.4553 0.1270 8.1743
O 0.8821 3.5069 1.1276
O 0.1270 2.4553 8.5767
O 3.4097 7.5305 6.1507
```

=====

[5]
MgCo6O9F3: optimized geometry, PBE with a Hubbard U.

Results
- Volume: 10.71 Å³ per atom
- Crystal system: triclinic
- M_tot: 0.895 μB per atom
- Formation enthalpy at 0 K: -1.5145 eV per atom
- DFT total energy: -5.57 eV per atom
- SG: No. 1

Cell and atoms, written as extended XYZ:
```
19
Lattice="-4.3886 4.3436 2.9107 0.4597 4.7707 -2.8722 -4.9296 -0.5039 -2.9560" Properties=species:S:1:pos:R:3 pbc="T T T"
Mg -6.8205 3.9954 -1.4610
Co -6.5633 6.6401 -1.5216
Co -4.0772 4.6627 -3.0174
Co -4.3332 4.4091 0.0071
Co -2.2078 2.1850 -1.5034
Co -2.0861 6.4865 -1.4377
Co 0.0513 4.3954 -2.8722
O -5.2022 5.2472 -1.5150
O -5.4015 4.9963 -4.4005
O -5.2469 5.1587 1.4949
O -3.4758 3.6065 -1.5226
O -3.6201 3.4796 -4.4383
O -3.5970 3.4099 1.5146
O -3.2448 1.2250 -0.2089
O -7.5738 5.4124 -2.7639
O -1.2716 3.1204 -2.9154
F -6.3032 2.6345 -2.7950
F -5.9581 2.9082 -0.0922
F -7.4619 5.3900 -0.1238
```

=====

[6]
TeW3O12: optimized geometry, PBE with a Hubbard U.

Results
- Volume: 13.28 Å³ per atom
- Crystal system: triclinic
- Formation enthalpy at 0 K: -1.9573 eV per atom
- DFT total energy: -6.95 eV per atom
- SG: No. 1

Cell and atoms, written as extended XYZ:
```
16
Lattice="5.0288 -0.5508 1.4140 0.5174 -4.1125 -3.4362 2.0729 4.5976 -5.5776" Properties=species:S:1:pos:R:3 pbc="T T T"
Te 3.8099 -0.0408 -3.8115
W 1.0719 2.3406 -2.8568
W 2.7751 -2.4127 -1.0851
W 0.0348 -0.0308 -0.1343
O 4.8033 1.2619 -2.7891
O 5.1479 0.6389 -0.1457
O 5.9745 0.7413 -7.1092
O 5.4830 -0.8356 -4.3819
O 1.5027 -2.8614 -2.4068
O 3.7581 -1.2458 -2.3037
O 3.8742 1.1528 -5.3411
O 6.1266 2.7543 -5.2778
O 2.1436 0.7684 -3.2599
O 1.6707 -0.8534 -0.5735
O 1.9803 3.4092 -4.1039
O 2.8301 -1.3332 -4.8636
```

=====

Which of these has the highest DFT total energy?
MgCo6O9F3

=====

Number 4 is which compound?
Cr2P4Pb3O16

=====

DFT total energy of number 5 (MgCo6O9F3)?
-5.57 eV per atom